Entry from the Materials Project: an optimized crystal structure of Sm2Ga9NiGe2 (PBE).

Structure (POSCAR):
```
Sm2Ga9NiGe2
1.0
5.974 0.000 0.000
0.000 5.974 0.000
0.000 0.000 15.208
Sm Ga Ni Ge
4 18 2 4
Direct
0.250 0.750 0.249 Sm
0.250 0.750 0.751 Sm
0.750 0.250 0.249 Sm
0.750 0.250 0.751 Sm
0.018 0.018 0.414 Ga
0.018 0.482 0.414 Ga
0.029 0.029 0.083 Ga
0.029 0.471 0.083 Ga
0.250 0.250 0.843 Ga
0.471 0.029 0.083 Ga
0.471 0.471 0.083 Ga
0.482 0.018 0.414 Ga
0.482 0.482 0.414 Ga
0.518 0.518 0.586 Ga
0.518 0.982 0.586 Ga
0.529 0.529 0.917 Ga
0.529 0.971 0.917 Ga
0.750 0.750 0.157 Ga
0.971 0.529 0.917 Ga
0.971 0.971 0.917 Ga
0.982 0.518 0.586 Ga
0.982 0.982 0.586 Ga
0.250 0.750 0.500 Ni
0.750 0.250 0.500 Ni
0.250 0.250 0.276 Ge
0.250 0.250 0.680 Ge
0.750 0.750 0.320 Ge
0.750 0.750 0.724 Ge
```

total magnetization: 0.02 μB per cell



Entry from the Materials Project: an optimized crystal structure of LaNb2CuClO7 (PBE).

Structure (POSCAR):
```
LaNb2CuClO7
1.0
7.890 0.000 0.000
0.000 7.902 0.000
0.000 0.000 11.835
La Nb Cu Cl O
4 8 4 4 28
Direct
0.000 0.238 0.000 La
0.000 0.762 0.000 La
0.500 0.262 0.000 La
0.500 0.738 0.000 La
0.248 0.500 0.191 Nb
0.248 0.500 0.809 Nb
0.252 0.000 0.191 Nb
0.252 0.000 0.809 Nb
0.748 0.000 0.191 Nb
0.748 0.000 0.809 Nb
0.752 0.500 0.191 Nb
0.752 0.500 0.809 Nb
0.229 0.492 0.500 Cu
0.271 0.992 0.500 Cu
0.729 0.008 0.500 Cu
0.771 0.508 0.500 Cu
0.084 0.229 0.500 Cl
0.416 0.729 0.500 Cl
0.584 0.271 0.500 Cl
0.916 0.771 0.500 Cl
0.000 0.000 0.184 O
0.000 0.000 0.816 O
0.000 0.500 0.134 O
0.000 0.500 0.866 O
0.200 0.000 0.000 O
0.218 0.499 0.342 O
0.218 0.499 0.658 O
0.250 0.250 0.152 O
0.250 0.250 0.848 O
0.250 0.750 0.152 O
0.250 0.750 0.848 O
0.282 0.999 0.342 O
0.282 0.999 0.658 O
0.300 0.500 0.000 O
0.500 0.000 0.134 O
0.500 0.000 0.866 O
0.500 0.500 0.184 O
0.500 0.500 0.816 O
0.700 0.500 0.000 O
0.718 0.001 0.342 O
0.718 0.001 0.658 O
0.750 0.250 0.152 O
0.750 0.250 0.848 O
0.750 0.750 0.152 O
0.750 0.750 0.848 O
0.782 0.501 0.342 O
0.782 0.501 0.658 O
0.800 0.000 0.000 O
```

total magnetization: 4.00 μB per cell
MP2020-corrected energy: -8.24 eV/atom
distance to the lowest polymorph of the same formula: 0 meV/atom



Entry from the Materials Project: an optimized crystal structure of MgTiFeS4 (PBE).

Structure (POSCAR):
```
MgTiFeS4
1.0
7.164 0.000 0.000
3.576 6.254 0.000
3.578 2.055 5.934
Mg Ti Fe S
2 2 2 8
Direct
0.122 0.127 0.128 Mg
0.878 0.873 0.872 Mg
0.000 0.500 0.500 Ti
0.500 0.500 0.500 Ti
0.500 0.000 0.500 Fe
0.500 0.500 0.000 Fe
0.259 0.720 0.261 S
0.268 0.246 0.717 S
0.272 0.251 0.267 S
0.291 0.749 0.733 S
0.709 0.251 0.267 S
0.728 0.749 0.733 S
0.732 0.754 0.283 S
0.741 0.280 0.739 S
```

total magnetization: 4.03 μB per cell
MP2020-corrected energy: -6.13 eV/atom



Entry from the Materials Project: an optimized crystal structure of Na3NdAs2O8 (PBE).

Structure (POSCAR):
```
Na3NdAs2O8
1.0
14.327 0.000 0.000
0.000 5.623 0.000
0.000 0.000 19.548
Na Nd As O
24 8 16 64
Direct
0.033 0.043 0.106 Na
0.048 0.483 0.347 Na
0.115 0.994 0.442 Na
0.138 0.488 0.167 Na
0.202 0.968 0.262 Na
0.216 0.521 0.500 Na
0.284 0.521 0.000 Na
0.298 0.968 0.762 Na
0.362 0.488 0.667 Na
0.385 0.994 0.942 Na
0.452 0.483 0.847 Na
0.467 0.043 0.606 Na
0.533 0.957 0.106 Na
0.548 0.517 0.347 Na
0.615 0.006 0.442 Na
0.638 0.512 0.167 Na
0.702 0.032 0.262 Na
0.716 0.479 0.500 Na
0.784 0.479 0.000 Na
0.798 0.032 0.762 Na
0.862 0.512 0.667 Na
0.885 0.006 0.942 Na
0.952 0.517 0.847 Na
0.967 0.957 0.606 Na
0.111 0.427 0.690 Nd
0.138 0.060 0.921 Nd
0.362 0.060 0.421 Nd
0.389 0.427 0.190 Nd
0.611 0.573 0.690 Nd
0.638 0.940 0.921 Nd
0.862 0.940 0.421 Nd
0.889 0.573 0.190 Nd
0.024 0.975 0.770 As
0.025 0.535 0.013 As
0.225 0.513 0.841 As
0.226 0.958 0.598 As
0.274 0.958 0.098 As
0.275 0.513 0.341 As
0.475 0.535 0.513 As
0.476 0.975 0.270 As
0.524 0.025 0.770 As
0.525 0.465 0.013 As
0.725 0.487 0.841 As
0.726 0.042 0.598 As
0.774 0.042 0.098 As
0.775 0.487 0.341 As
0.975 0.465 0.513 As
0.976 0.025 0.270 As
0.003 0.487 0.099 O
0.005 0.035 0.355 O
0.006 0.291 0.232 O
0.033 0.797 0.229 O
0.037 0.836 0.996 O
0.061 0.587 0.463 O
0.108 0.449 0.845 O
0.123 0.110 0.612 O
0.128 0.387 0.997 O
0.141 0.039 0.765 O
0.188 0.083 0.147 O
0.214 0.659 0.618 O
0.219 0.291 0.385 O
0.244 0.515 0.256 O
0.246 0.783 0.376 O
0.247 0.967 0.511 O
0.253 0.967 0.011 O
0.254 0.783 0.876 O
0.256 0.515 0.756 O
0.281 0.291 0.885 O
0.286 0.659 0.118 O
0.312 0.083 0.647 O
0.359 0.039 0.265 O
0.372 0.387 0.497 O
0.377 0.110 0.112 O
0.392 0.449 0.345 O
0.439 0.587 0.963 O
0.463 0.836 0.496 O
0.467 0.797 0.729 O
0.494 0.291 0.732 O
0.495 0.035 0.855 O
0.497 0.487 0.599 O
0.503 0.513 0.099 O
0.505 0.965 0.355 O
0.506 0.709 0.232 O
0.533 0.203 0.229 O
0.537 0.164 0.996 O
0.561 0.413 0.463 O
0.608 0.551 0.845 O
0.623 0.890 0.612 O
0.628 0.613 0.997 O
0.641 0.961 0.765 O
0.688 0.917 0.147 O
0.714 0.341 0.618 O
0.719 0.709 0.385 O
0.744 0.485 0.256 O
0.746 0.217 0.376 O
0.747 0.033 0.511 O
0.753 0.033 0.011 O
0.754 0.217 0.876 O
0.756 0.485 0.756 O
0.781 0.709 0.885 O
0.786 0.341 0.118 O
0.812 0.917 0.647 O
0.859 0.961 0.265 O
0.872 0.613 0.497 O
0.877 0.890 0.112 O
0.892 0.551 0.345 O
0.939 0.413 0.963 O
0.963 0.164 0.496 O
0.967 0.203 0.729 O
0.994 0.709 0.732 O
0.995 0.965 0.855 O
0.997 0.513 0.599 O
```

total magnetization: 0.00 μB per cell
MP2020-corrected energy: -6.48 eV/atom
distance to the lowest polymorph of the same formula: 0 meV/atom



Number 1: ΔH_f (0 K) -0.36 eV/atom. Number 2: ΔH_f (0 K) -2.77 eV/atom. Number 3: ΔH_f (0 K) -1.20 eV/atom. Number 4: ΔH_f (0 K) -2.36 eV/atom.